# 1
A relaxed Al119Cr16Fe13 crystal. Source: Materials Project, functional PBE.

abc: 17.2759 17.2759 12.5391
angles: 110.91 110.91 41.37
Fractional positions:
Al 0.0000 0.0000 0.0000
Al 0.0013 0.0013 0.2294
Al 0.0175 0.6478 0.7531
Al 0.0289 0.6449 0.1470
Al 0.0307 0.2611 0.1457
Al 0.0333 0.2578 0.3845
Al 0.0380 0.8112 0.8557
Al 0.0404 0.8136 0.2261
Al 0.0429 0.4292 0.2393
Al 0.0433 0.4300 0.4649
Al 0.0451 0.4190 0.8398
Al 0.0656 0.7034 0.3789
Al 0.0699 0.7041 0.6228
Al 0.0783 0.0783 0.7937
Al 0.0792 0.0792 0.5888
Al 0.0829 0.0829 0.2013
Al 0.1252 0.9017 0.4319
Al 0.1286 0.5153 0.4408
Al 0.1404 0.8904 0.8268
Al 0.1452 0.5026 0.9376
Al 0.1476 0.7910 0.5864
Al 0.1517 0.4041 0.6972
Al 0.1657 0.7763 0.0843
Al 0.1676 0.3911 0.0910
Al 0.2094 0.2094 0.3261
Al 0.2129 0.2129 0.9326
Al 0.2164 0.2164 0.7336
Al 0.2233 0.5891 0.9003
Al 0.2271 0.5897 0.1450
Al 0.2471 0.8620 0.0608
Al 0.2471 0.8750 0.6836
Al 0.2512 0.8653 0.2929
Al 0.2527 0.4791 0.2979
Al 0.2547 0.4815 0.6678
Al 0.2578 0.0333 0.3845
Al 0.2611 0.0307 0.1457
Al 0.2627 0.6481 0.3776
Al 0.2757 0.6455 0.7695
Al 0.2913 0.2913 0.2960
Al 0.2927 0.2927 0.5252
Al 0.3502 0.3502 0.8418
Al 0.3525 0.3525 0.0932
Al 0.3619 0.7326 0.4696
Al 0.3802 0.6119 0.9949
Al 0.3823 0.6146 0.2373
Al 0.3852 0.6142 0.6181
Al 0.3911 0.1676 0.0910
Al 0.4041 0.1517 0.6972
Al 0.4128 0.8461 0.6471
Al 0.4190 0.0451 0.8398
Al 0.4292 0.0429 0.2393
Al 0.4300 0.0433 0.4649
Al 0.4348 0.4348 0.0512
Al 0.4350 0.4350 0.4424
Al 0.4348 0.4348 0.6507
Al 0.4410 0.7958 0.2264
Al 0.4461 0.8219 0.4449
Al 0.4460 0.8806 0.8752
Al 0.4599 0.6962 0.7881
Al 0.4626 0.6900 0.9907
Al 0.4753 0.8513 0.0831
Al 0.4791 0.2527 0.2979
Al 0.4815 0.2547 0.6678
Al 0.5026 0.1452 0.9376
Al 0.5153 0.1286 0.4408
Al 0.5599 0.9317 0.0508
Al 0.5656 0.5656 0.1696
Al 0.5696 0.5696 0.5969
Al 0.5715 0.5715 0.3821
Al 0.5891 0.2233 0.9003
Al 0.5897 0.2271 0.1450
Al 0.5913 0.8211 0.3118
Al 0.5953 0.8325 0.7338
Al 0.6070 0.8294 0.5346
Al 0.6119 0.3802 0.9949
Al 0.6142 0.3852 0.6181
Al 0.6146 0.3823 0.2373
Al 0.6449 0.0289 0.1470
Al 0.6455 0.2757 0.7695
Al 0.6450 0.6450 0.9511
Al 0.6478 0.0175 0.7531
Al 0.6481 0.2627 0.3776
Al 0.6478 0.6478 0.5671
Al 0.6769 0.9100 0.2913
Al 0.6779 0.9082 0.9034
Al 0.6818 0.9130 0.5273
Al 0.6900 0.4626 0.9907
Al 0.6962 0.4599 0.7881
Al 0.7034 0.0656 0.3789
Al 0.7041 0.0699 0.6228
Al 0.7221 0.7221 0.1409
Al 0.7234 0.7234 0.9253
Al 0.7326 0.3619 0.4696
Al 0.7763 0.1657 0.0843
Al 0.7910 0.1476 0.5864
Al 0.7958 0.4410 0.2264
Al 0.8112 0.0380 0.8557
Al 0.8136 0.0404 0.2261
Al 0.8211 0.5913 0.3118
Al 0.8219 0.4461 0.4449
Al 0.8294 0.6070 0.5346
Al 0.8325 0.5953 0.7338
Al 0.8461 0.4128 0.6471
Al 0.8513 0.4753 0.0831
Al 0.8577 0.8577 0.0807
Al 0.8583 0.8583 0.4727
Al 0.8581 0.8581 0.8732
Al 0.8620 0.2471 0.0608
Al 0.8653 0.2512 0.2929
Al 0.8750 0.2471 0.6836
Al 0.8806 0.4460 0.8752
Al 0.8904 0.1404 0.8268
Al 0.9017 0.1252 0.4319
Al 0.9082 0.6779 0.9034
Al 0.9100 0.6769 0.2913
Al 0.9130 0.6818 0.5273
Al 0.9317 0.5599 0.0508
Al 0.9405 0.9405 0.4281
Al 0.9431 0.9431 0.6809
Cr 0.0121 0.3706 0.6045
Cr 0.0535 0.2392 0.7597
Cr 0.0766 0.0766 0.9977
Cr 0.1449 0.1449 0.9723
Cr 0.1481 0.1481 0.5591
Cr 0.2159 0.2159 0.1374
Cr 0.2158 0.2158 0.5290
Cr 0.2392 0.0535 0.7597
Cr 0.2857 0.9169 0.9195
Cr 0.3592 0.3592 0.4736
Cr 0.3706 0.0121 0.6045
Cr 0.4294 0.4294 0.8501
Cr 0.6479 0.6479 0.3671
Cr 0.8646 0.8646 0.6755
Cr 0.9169 0.2857 0.9195
Cr 0.9337 0.9337 0.0502
Fe 0.0044 0.0044 0.6092
Fe 0.0555 0.7022 0.9996
Fe 0.0748 0.0748 0.3833
Fe 0.2377 0.5915 0.5244
Fe 0.2892 0.2892 0.9122
Fe 0.4277 0.4277 0.2346
Fe 0.5107 0.5107 0.8223
Fe 0.5915 0.2377 0.5244
Fe 0.6443 0.6443 0.1414
Fe 0.6465 0.6465 0.7601
Fe 0.7022 0.0555 0.9996
Fe 0.7821 0.7821 0.6977
Fe 0.8641 0.8641 0.2877

Properties
The calculated formation energy is -0.097 eV/atom. The value obtained for the uncorrected energy is -724.673 eV per formula unit. The space group is No. 8.

=====

# 2
A relaxed AlCrFe2 crystal. Source: Materials Project, functional PBE.

abc: 2.8228 2.8228 5.7258
angles: 90.00 90.00 90.00
Fractional positions:
Al 0.0000 0.0000 0.0000
Cr 0.0000 0.0000 0.5000
Fe 0.5000 0.5000 0.2588
Fe 0.5000 0.5000 0.7412

Properties
The calculated formation energy is -0.157 eV/atom. The value obtained for the uncorrected energy is -30.967 eV per formula unit. The energy above the most stable polymorph in this dataset comes out at 7 meV per atom. The space group is No. 123.

=====

# 3
A relaxed AlCrFe2 crystal. Source: Materials Project, functional PBE.

abc: 4.0089 4.0089 4.0089
angles: 60.00 60.00 60.00
Fractional positions:
Al 0.0000 0.0000 0.0000
Cr 0.5000 0.5000 0.5000
Fe 0.2500 0.2500 0.2500
Fe 0.7500 0.7500 0.7500

Properties
The calculated formation energy is -0.164 eV/atom. The value obtained for the uncorrected energy is -30.996 eV per formula unit. The energy above the most stable polymorph in this dataset comes out at 0 meV per atom. The space group is No. 225.

=====

# 4
A relaxed GdAl8Cr4 crystal. Source: Materials Project, functional PBE.

abc: 6.8141 6.8141 6.8141
angles: 97.87 97.87 136.56
Fractional positions:
Gd 0.0000 0.0000 0.0000
Al 0.0000 0.3382 0.3382
Al 0.0000 0.6618 0.6618
Al 0.2774 0.5000 0.7774
Al 0.3382 0.0000 0.3382
Al 0.5000 0.2774 0.7774
Al 0.5000 0.7226 0.2226
Al 0.6618 0.0000 0.6618
Al 0.7226 0.5000 0.2226
Cr 0.0000 0.0000 0.5000
Cr 0.0000 0.5000 0.0000
Cr 0.5000 0.0000 0.0000
Cr 0.5000 0.5000 0.5000

Properties
The calculated formation energy is -0.207 eV/atom. The value obtained for the uncorrected energy is -85.348 eV per formula unit. The space group is No. 139.

=====

# 5
A relaxed AlCrGe crystal. Source: Materials Project, functional PBE.

abc: 5.9507 4.9216 4.7476
angles: 75.94 53.35 50.71
Fractional positions:
Al 0.1721 0.8279 0.1721
Al 0.8279 0.1721 0.8279
Cr 0.5000 0.5000 0.5000
Cr 0.7500 0.7500 0.7500
Ge 0.0807 0.4193 0.0807
Ge 0.4193 0.0807 0.4193

Properties
The calculated formation energy is -0.072 eV/atom. The value obtained for the uncorrected energy is -18.238 eV per formula unit. The space group is No. 22.

=====

# 6
A relaxed HfAlCr crystal. Source: Materials Project, functional PBE.

abc: 8.4862 5.1258 5.1258
angles: 60.10 90.00 90.00
Fractional positions:
Hf 0.1784 0.0000 0.0000
Hf 0.3089 0.3368 0.3368
Hf 0.6911 0.3368 0.3368
Hf 0.8216 0.0000 0.0000
Al 0.2398 0.6768 0.6768
Al 0.5000 0.3295 0.8388
Al 0.5000 0.8388 0.3295
Al 0.7602 0.6768 0.6768
Cr 0.0000 0.0334 0.4916
Cr 0.0000 0.4916 0.0334
Cr 0.0000 0.4940 0.4940
Cr 0.5000 0.8391 0.8391

Properties
The calculated formation energy is -0.246 eV/atom. The value obtained for the uncorrected energy is -24.093 eV per formula unit. The space group is No. 38.